{"formula": "ThSc", "functional": "r2SCAN", "state": "relaxed", "crystal_system": "trigonal", "cell": [[-4.118, 3.243, -2.438], [-5.312, 2.184, 0.659], [-3.092, 4.862, 0.471]], "species": ["Th", "Sc"], "frac_coords": [[0.500, 0.500, 0.500], [0.000, 0.000, 0.000]]}

***

{"formula": "NdRe2", "functional": "r2SCAN", "state": "relaxed", "crystal_system": "hexagonal", "cell": [[2.754, -4.770, 0.000], [2.754, 4.770, 0.000], [0.000, 0.000, 8.905]], "species": ["Re", "Re", "Re", "Re", "Re", "Re", "Re", "Re", "Nd", "Nd", "Nd", "Nd"], "frac_coords": [[0.000, 0.000, 0.500], [0.170, 0.830, 0.750], [0.170, 0.340, 0.750], [0.000, 0.000, 0.000], [0.830, 0.170, 0.250], [0.340, 0.170, 0.250], [0.660, 0.830, 0.750], [0.830, 0.660, 0.250], [0.333, 0.667, 0.062], [0.667, 0.333, 0.562], [0.333, 0.667, 0.438], [0.667, 0.333, 0.938]]}

***

{"formula": "Mg14CoW", "functional": "r2SCAN", "state": "relaxed", "crystal_system": "orthorhombic", "cell": [[6.194, 0.085, 0.000], [-3.023, 5.237, 0.000], [0.000, 0.000, 9.857]], "species": ["Mg", "Mg", "Mg", "Mg", "Mg", "Mg", "Mg", "Mg", "Mg", "Mg", "Mg", "Mg", "Mg", "Mg", "Co", "W"], "frac_coords": [[0.326, 0.161, 0.355], [0.663, 0.335, 0.125], [0.663, 0.828, 0.125], [0.326, 0.665, 0.895], [0.664, 0.330, 0.625], [0.855, 0.177, 0.889], [0.167, 0.333, 0.625], [0.855, 0.177, 0.361], [0.847, 0.674, 0.880], [0.847, 0.674, 0.370], [0.326, 0.665, 0.355], [0.167, 0.833, 0.625], [0.664, 0.834, 0.625], [0.326, 0.161, 0.895], [0.155, 0.328, 0.125], [0.148, 0.824, 0.125]]}

***

| no. | calculated formation energy (eV per formula unit) |
| --- | --- |
| 1 | 0.2 |
| 2 | 0.0 |
| 3 | 3.5 |